Computed, not measured: a geometry-optimized Na2Hf2O5 structure at the meta-GGA r2SCAN level of DFT.

Values from the calculation:
* formation energy from the elements: -3045.6 meV per atom
* mass density: 6.5 Mg/m³

Lattice parameters (Å, degrees): 3.950 3.950 7.948 90.00 90.00 90.00
Sites, in units of the cell vectors:
Na1 0.000 0.000 0.000
Na2 0.000 0.000 0.500
Hf1 0.500 0.500 0.248
Hf2 0.500 0.500 0.752
O1 0.000 0.500 0.301
O2 0.000 0.500 0.699
O3 0.500 0.000 0.301
O4 0.500 0.000 0.699
O5 0.500 0.500 0.000

---

Computed, not measured: a geometry-optimized Nd2Hf2O7 structure at the meta-GGA r2SCAN level of DFT.

Values from the calculation:
* formation energy from the elements: -3881.7 meV per atom
* mass density: 8.4 Mg/m³

Lattice parameters (Å, degrees): 7.523 7.523 7.523 60.00 60.00 60.00
Sites, in units of the cell vectors:
Nd1 0.000 0.000 0.000
Nd2 0.000 0.000 0.500
Nd3 0.000 0.500 0.000
Nd4 0.500 0.000 0.000
Hf1 0.000 0.500 0.500
Hf2 0.500 0.000 0.500
Hf3 0.500 0.500 0.000
Hf4 0.500 0.500 0.500
O1 0.125 0.125 0.125
O2 0.168 0.168 0.582
O3 0.168 0.582 0.168
O4 0.168 0.582 0.582
O5 0.418 0.418 0.832
O6 0.418 0.832 0.418
O7 0.418 0.832 0.832
O8 0.582 0.168 0.168
O9 0.582 0.168 0.582
O10 0.582 0.582 0.168
O11 0.832 0.418 0.418
O12 0.832 0.418 0.832
O13 0.832 0.832 0.418
O14 0.875 0.875 0.875